# 1
{
  "formula": "CaPt5",
  "functional": "PBE",
  "state": "relaxed",
  "e_tot_ev_per_atom": -5.91,
  "formation_energy_mev_per_atom": -513,
  "lattice": [[2.699, -4.675, 0.000], [2.699, 4.675, 0.000], [0.000, 0.000, 4.431]],
  "species": ["Pt", "Pt", "Pt", "Pt", "Pt", "Ca"],
  "frac_coords": [[0.333, 0.667, 0.000], [0.667, 0.333, 0.000], [0.500, 0.000, 0.500], [0.000, 0.500, 0.500], [0.500, 0.500, 0.500], [0.000, 0.000, 0.000]]
}

---

# 2
{
  "formula": "CaSi3Pt",
  "functional": "PBE",
  "state": "relaxed",
  "e_tot_ev_per_atom": -5.52,
  "formation_energy_mev_per_atom": -646,
  "lattice": [[-4.079, -0.784, -0.843], [-0.127, -2.779, 3.198], [0.755, 5.437, 1.946]],
  "species": ["Si", "Ca", "Pt", "Si", "Si"],
  "frac_coords": [[0.762, 0.262, 0.523], [0.001, 0.001, 0.002], [0.644, 0.644, 0.287], [0.403, 0.403, 0.807], [0.262, 0.762, 0.523]]
}

---

# 3
{
  "formula": "Ca3Sn13Pt4",
  "functional": "PBE",
  "state": "relaxed",
  "e_tot_ev_per_atom": -4.62,
  "formation_energy_mev_per_atom": -503,
  "magmom_total_mub_per_cell": 0.01,
  "lattice": [[-9.113, -1.094, -3.818], [2.988, -8.185, -4.786], [-2.617, -5.535, 7.832]],
  "species": ["Sn", "Ca", "Sn", "Sn", "Sn", "Sn", "Sn", "Sn", "Ca", "Sn", "Sn", "Sn", "Sn", "Pt", "Pt", "Sn", "Sn", "Sn", "Sn", "Pt", "Sn", "Sn", "Sn", "Sn", "Sn", "Sn", "Pt", "Ca", "Pt", "Sn", "Sn", "Sn", "Ca", "Ca", "Pt", "Ca", "Pt", "Sn", "Pt", "Sn"],
  "frac_coords": [[0.693, 0.000, 0.850], [0.500, 0.750, 0.000], [0.500, 0.807, 0.650], [0.650, 0.500, 0.807], [0.000, 0.150, 0.693], [0.193, 0.650, 0.500], [0.000, 0.150, 0.307], [0.807, 0.350, 0.500], [0.000, 0.500, 0.750], [0.500, 0.807, 0.350], [0.807, 0.650, 0.500], [0.350, 0.500, 0.807], [0.150, 0.693, 0.000], [0.750, 0.750, 0.750], [0.750, 0.250, 0.750], [0.350, 0.500, 0.193], [0.650, 0.500, 0.193], [0.500, 0.193, 0.350], [0.307, 0.000, 0.150], [0.250, 0.250, 0.750], [0.500, 0.193, 0.650], [0.850, 0.693, 0.000], [0.307, 0.000, 0.850], [0.193, 0.350, 0.500], [0.500, 0.500, 0.500], [0.150, 0.307, 0.000], [0.250, 0.250, 0.250], [0.250, 0.000, 0.500], [0.250, 0.750, 0.250], [0.000, 0.850, 0.693], [0.693, 0.000, 0.150], [0.000, 0.000, 0.000], [0.500, 0.250, 0.000], [0.750, 0.000, 0.500], [0.250, 0.750, 0.750], [0.000, 0.500, 0.250], [0.750, 0.750, 0.250], [0.850, 0.307, 0.000], [0.750, 0.250, 0.250], [0.000, 0.850, 0.307]]
}